Entry from the Materials Project: a relaxed structure of CaSi4NiO10 (PBE with a Hubbard U).

a = 7.3058 Å, b = 7.3058 Å, c = 15.4544 Å
α = 90.00°, β = 90.00°, γ = 90.00°
With the nearest neighbours (Å) after each atom.
Space group P4/ncc (No. 130, origin choice 2)
One atom of each set of equivalent atoms:
Ca  0.2500  0.7500  0.0000  8 O 2.40-2.66
Si  0.0013  0.0713  0.1479  4 O 1.61-1.65
Ni  0.2500  0.2500  0.4158  4 O 1.90
O  0.0054  0.7076  0.8737  2 Si 1.64-1.65
O  0.0096  0.1508  0.4168  1 Si 1.61
O  0.0390  0.5390  0.2500  2 Si 1.62

Formation enthalpy at 0 K ... -2.93 eV/atom
Volume ... 824.9 Å³/cell